# YSi2 | the Materials Project database | meta-GGA r2SCAN | relaxed
data_YSi2
_cell_length_a 4.0755
_cell_length_b 4.0755
_cell_length_c 3.9901
_cell_angle_alpha 90.00
_cell_angle_beta 90.00
_cell_angle_gamma 120.00
_space_group_name_H-M_alt 'P 6/m m m'
_space_group_IT_number 191
_space_group_name_Hall '-P 6 2'
loop_
_atom_site_label
_atom_site_fract_x
_atom_site_fract_y
_atom_site_fract_z
Y1 0.0000 0.0000 0.0000
Si1 0.3333 0.6667 0.5000
# Energy relative to the elements: -536 meV/atom
# Size of the total moment: 0.0000 μB per atom